VASP calculation (PBE) on a relaxed structure of CuSeO3.

Cell lengths 6.036, 12.361, 7.265 Å; angles 90.00, 90.00, 90.00 degrees
Space group Pbca (No. 61)
Asymmetric unit:
Cu: 0.154 0.094 0.075 x8
Se: 0.109 0.144 0.548 x8
O: 0.027 0.590 0.145 x8
O: 0.140 0.566 0.538 x8
O: 0.206 0.236 0.959 x8

ρ, Mg/m³: 4.67
Energy of formation from the pure elements, eV per atom: -1.08
Energy, eV per atom: -5.158

---

VASP calculation (PBE) on a relaxed structure of CuSeO5.

Cell lengths 5.184, 8.173, 9.884 Å; angles 90.00, 90.00, 90.00 degrees
Space group P2_12_12_1 (No. 19)
Asymmetric unit:
Cu: 0.224 0.032 0.424 x4
Se: 0.048 0.171 0.159 x4
O: 0.007 0.522 0.460 x4
O: 0.058 0.593 0.189 x4
O: 0.146 0.785 0.670 x4
O: 0.182 0.812 0.372 x4
O: 0.201 0.761 0.959 x4

ρ, Mg/m³: 3.53
Energy of formation from the pure elements, eV per atom: -0.65
E above lowest polymorph, eV/atom: 0.000
Energy, eV per atom: -4.780

---

VASP calculation (PBE) on a relaxed structure of CuSeO3.

Cell lengths 4.813, 8.926, 10.736 Å; angles 113.53, 91.19, 90.26 degrees
Space group P-1 (No. 2)
Asymmetric unit:
Cu: 0.000 0.000 0.000 x1
Cu: 0.000 0.000 0.500 x1
Cu: 0.031 0.646 0.165 x2
Cu: 0.469 0.992 0.243 x2
Se: 0.018 0.754 0.671 x2
Se: 0.422 0.303 0.621 x2
Se: 0.452 0.273 0.021 x2
O: 0.062 0.196 0.161 x2
O: 0.123 0.074 0.353 x2
O: 0.208 0.399 0.000 x2
O: 0.228 0.691 0.339 x2
O: 0.277 0.443 0.768 x2
O: 0.299 0.077 0.922 x2
O: 0.309 0.116 0.624 x2
O: 0.310 0.777 0.117 x2
O: 0.367 0.788 0.670 x2

ρ, Mg/m³: 4.49
Energy of formation from the pure elements, eV per atom: -1.09
Energy, eV per atom: -5.169

---

VASP calculation (PBE) on a relaxed structure of CuSeO5.

Cell lengths 6.225, 7.962, 10.711 Å; angles 90.00, 124.59, 90.00 degrees
Space group P2_1/c (No. 14)
Asymmetric unit:
Cu: 0.176 0.145 0.030 x4
Se: 0.220 0.625 0.336 x4
O: 0.067 0.698 0.746 x4
O: 0.133 0.596 0.474 x4
O: 0.233 0.128 0.621 x4
O: 0.385 0.027 0.618 x4
O: 0.462 0.192 0.021 x4

ρ, Mg/m³: 3.38
Energy of formation from the pure elements, eV per atom: -0.51
E above lowest polymorph, eV/atom: 0.140
Energy, eV per atom: -5.016

---

VASP calculation (PBE) on a relaxed structure of CuSeO3.

Cell lengths 7.801, 8.572, 10.753 Å; angles 90.00, 127.43, 90.00 degrees
Space group P2_1/c (No. 14)
Asymmetric unit:
Cu: 0.053 0.203 0.025 x4
Cu: 0.292 0.100 0.883 x4
Se: 0.147 0.038 0.328 x4
Se: 0.407 0.636 0.212 x4
O: 0.032 0.572 0.373 x4
O: 0.038 0.057 0.661 x4
O: 0.163 0.222 0.412 x4
O: 0.254 0.699 0.662 x4
O: 0.349 0.218 0.227 x4
O: 0.461 0.579 0.392 x4

ρ, Mg/m³: 4.43
Energy of formation from the pure elements, eV per atom: -1.08
Energy, eV per atom: -5.160

---

VASP calculation (PBE) on a relaxed structure of CuSe2O5.

Cell lengths 12.466, 5.303, 8.047 Å; angles 90.00, 110.29, 90.00 degrees
Space group C2/c (No. 15)
Asymmetric unit:
Cu: 0.000 0.000 0.000 x4
Se: 0.137 0.409 0.324 x8
O: 0.000 0.414 0.750 x4
O: 0.123 0.216 0.149 x8
O: 0.123 0.223 0.488 x8

ρ, Mg/m³: 4.01
Energy of formation from the pure elements, eV per atom: -1.13
Energy, eV per atom: -5.183

---

VASP calculation (PBE) on a relaxed structure of CuSeO3.

Cell lengths 6.152, 7.307, 5.477 Å; angles 90.00, 90.00, 90.00 degrees
Space group Pnma (No. 62)
Asymmetric unit:
Cu: 0.000 0.000 0.000 x4
Se: 0.046 0.250 0.491 x4
O: 0.071 0.250 0.165 x4
O: 0.206 0.068 0.585 x8

ρ, Mg/m³: 5.14
Energy of formation from the pure elements, eV per atom: -1.07
Energy, eV per atom: -5.142

---

VASP calculation (PBE) on a relaxed structure of CuSeO5.

Cell lengths 6.094, 7.288, 9.254 Å; angles 90.00, 90.00, 90.00 degrees
Space group P2_12_12_1 (No. 19)
Asymmetric unit:
Cu: 0.219 0.041 0.102 x4
Se: 0.052 0.784 0.863 x4
O: 0.009 0.472 0.525 x4
O: 0.019 0.887 0.692 x4
O: 0.076 0.049 0.303 x4
O: 0.163 0.274 0.057 x4
O: 0.224 0.212 0.632 x4

ρ, Mg/m³: 3.60
Energy of formation from the pure elements, eV per atom: -0.40
E above lowest polymorph, eV/atom: 0.255
Energy, eV per atom: -4.525

---

VASP calculation (PBE) on a relaxed structure of Sm2CuSe4O12.

Cell lengths 10.818, 7.037, 8.258 Å; angles 90.00, 109.95, 90.00 degrees
Space group P2_1/c (No. 14)
Asymmetric unit:
Sm: 0.084 0.163 0.239 x4
Cu: 0.500 0.000 0.500 x2
Se: 0.183 0.677 0.135 x4
Se: 0.365 0.172 0.124 x4
O: 0.056 0.654 0.589 x4
O: 0.107 0.507 0.221 x4
O: 0.156 0.613 0.926 x4
O: 0.200 0.222 0.031 x4
O: 0.348 0.118 0.323 x4
O: 0.442 0.109 0.677 x4

ρ, Mg/m³: 4.90
Energy of formation from the pure elements, eV per atom: -2.01
Energy, eV per atom: -6.146

---

VASP calculation (PBE) on a relaxed structure of Sm2CuSe2O.

Cell lengths 3.483, 3.483, 14.374 Å; angles 90.00, 90.00, 90.00 degrees
Space group P4/mmm (No. 123)
Asymmetric unit:
Sm: 0.000 0.000 0.145 x2
Cu: 0.000 0.000 0.500 x1
Se: 0.000 0.000 0.344 x2
O: 0.000 0.000 0.000 x1

ρ, Mg/m³: 5.12
Energy of formation from the pure elements, eV per atom: -0.63
Energy, eV per atom: -4.764

---

VASP calculation (PBE) on a relaxed structure of SmCuSeO.

Cell lengths 3.970, 3.970, 8.787 Å; angles 90.00, 90.00, 90.00 degrees
Space group P4/nmm (No. 129, origin choice 2)
Asymmetric unit:
Sm: 0.250 0.250 0.134 x2
Cu: 0.250 0.750 0.500 x2
Se: 0.250 0.250 0.677 x2
O: 0.250 0.750 0.000 x2

ρ, Mg/m³: 7.41
Energy of formation from the pure elements, eV per atom: -2.12
Energy, eV per atom: -6.262

---

VASP calculation (PBE) on a relaxed structure of Sr2CuSe3O9.

Cell lengths 7.329, 7.894, 8.778 Å; angles 102.26, 105.35, 96.67 degrees
Space group P-1 (No. 2)
Asymmetric unit:
Sr: 0.124 0.484 0.307 x2
Sr: 0.259 0.910 0.109 x2
Cu: 0.414 0.659 0.752 x2
Se: 0.135 0.918 0.705 x2
Se: 0.273 0.369 0.913 x2
Se: 0.400 0.202 0.530 x2
O: 0.015 0.129 0.182 x2
O: 0.029 0.299 0.851 x2
O: 0.162 0.702 0.619 x2
O: 0.277 0.593 0.910 x2
O: 0.315 0.397 0.558 x2
O: 0.329 0.377 0.121 x2
O: 0.347 0.998 0.858 x2
O: 0.375 0.752 0.333 x2
O: 0.442 0.182 0.341 x2

ρ, Mg/m³: 4.37
Energy of formation from the pure elements, eV per atom: -1.92
Energy, eV per atom: -5.671